DFT (PBE) results for a relaxed VSnRh2 crystal.

extended XYZ file:
```
4
Lattice="-2.052 2.052 3.698 2.052 -2.052 3.698 2.052 2.052 -3.698" Properties=species:S:1:pos:R:3 pbc="T T T"
V 0.000 0.000 0.000
Sn 0.000 0.000 3.698
Rh 2.052 0.000 1.849
Rh 0.000 2.052 1.849
```

Computed properties:
The formation energy is -0.414 eV/atom.

---

DFT (PBE) results for a relaxed VSnRh2 crystal.

extended XYZ file:
```
4
Lattice="0.000 3.161 3.161 3.161 0.000 3.161 3.161 3.161 0.000" Properties=species:S:1:pos:R:3 pbc="T T T"
V 0.000 0.000 0.000
Sn 3.161 3.161 3.161
Rh 1.580 1.580 1.580
Rh 4.741 4.741 4.741
```

Computed properties:
The formation energy is -0.324 eV/atom.

---

DFT (PBE) results for a relaxed VSnRh2 crystal.

extended XYZ file:
```
4
Lattice="-2.321 2.321 2.918 2.321 -2.321 2.918 2.321 2.321 -2.918" Properties=species:S:1:pos:R:3 pbc="T T T"
V 0.000 0.000 0.000
Sn 0.000 0.000 2.918
Rh 2.321 0.000 1.459
Rh 0.000 2.321 1.459
```

Computed properties:
The formation energy is -0.344 eV/atom.

---

Number 1: ρ 10.0 g/cm3, calculated total energy -7.37 eV per atom. Number 2: ρ 9.9 g/cm3, calculated total energy -7.28 eV per atom. Number 3: ρ 9.9 g/cm3, calculated total energy -7.30 eV per atom.